1.
# PBE MgTi6N4O6, relaxed
# size of the total moment	0.7	μB/f.u.
# final energy	-149.77	eV/cell
# formation energy	-2.464	eV per atom
data_MgTi6N4O6
_chemical_formula_sum 'Mg1 Ti6 N4 O6'
_symmetry_space_group_name_H-M 'P 1'
_symmetry_Int_Tables_number 1
_symmetry_space_group_name_Hall 'P 1'
_cell_length_a 3.935
_cell_length_b 5.283
_cell_length_c 9.926
_cell_angle_alpha 87.23
_cell_angle_beta 89.99
_cell_angle_gamma 68.13
loop_
_atom_site_label
_atom_site_type_symbol
_atom_site_fract_x
_atom_site_fract_y
_atom_site_fract_z
_atom_site_occupancy
Mg1 Mg 0.000 0.000 0.000 1
Ti1 Ti 0.298 0.405 0.045 1
Ti2 Ti 0.366 0.270 0.336 1
Ti3 Ti 0.387 0.228 0.714 1
Ti4 Ti 0.657 0.687 0.238 1
Ti5 Ti 0.677 0.647 0.840 1
Ti6 Ti 0.723 0.554 0.532 1
N1 N 0.177 0.647 0.191 1
N2 N 0.783 0.435 0.019 1
N3 N 0.826 0.349 0.363 1
N4 N 0.827 0.347 0.715 1
O1 O 0.172 0.657 0.866 1
O2 O 0.264 0.474 0.532 1
O3 O 0.461 0.081 0.161 1
O4 O 0.473 0.053 0.905 1
O5 O 0.561 0.879 0.401 1
O6 O 0.561 0.880 0.660 1

---

2.
# PBE MgTi6N4O6, relaxed
# size of the total moment	0.0	μB/f.u.
# final energy	-299.28	eV/cell
# formation energy	-2.456	eV per atom
data_MgTi6N4O6
_chemical_formula_sum 'Mg2 Ti12 N8 O12'
_symmetry_space_group_name_H-M 'C 1 m 1'
_symmetry_Int_Tables_number 8
_symmetry_space_group_name_Hall 'C -2y'
_cell_length_a 10.029
_cell_length_b 3.832
_cell_length_c 10.050
_cell_angle_alpha 90.00
_cell_angle_beta 92.79
_cell_angle_gamma 90.00
loop_
_atom_site_label
_atom_site_type_symbol
_atom_site_fract_x
_atom_site_fract_y
_atom_site_fract_z
_atom_site_occupancy
Mg1 Mg 0.000 0.000 0.000 1
Ti1 Ti 0.133 0.500 0.284 1
Ti2 Ti 0.157 0.500 0.687 1
Ti3 Ti 0.206 0.500 0.979 1
Ti4 Ti 0.300 0.000 0.482 1
Ti5 Ti 0.362 0.000 0.189 1
Ti6 Ti 0.369 0.000 0.767 1
N1 N 0.038 0.500 0.107 1
N2 N 0.195 0.000 0.302 1
N3 N 0.198 0.000 0.651 1
N4 N 0.336 0.500 0.831 1
O1 O 0.055 0.500 0.852 1
O2 O 0.218 0.000 0.001 1
O3 O 0.256 0.500 0.478 1
O4 O 0.332 0.500 0.149 1
O5 O 0.459 0.000 0.354 1
O6 O 0.460 0.000 0.610 1

---

Record-wise energy above the most stable polymorph in this dataset values, in kJ per mole of atoms: 1.4 2.1